1.
Na15Mg7Ta5P18O72: optimized geometry, GGA-PBE.

Computed properties:
VASP energy: -7.09 eV per atom
ρ: 3.42 g cm⁻³
Spin magnetization: 0.00 μB per formula unit
Symmetry: P1, No. 1

a b c (Å): 8.891 8.854 22.276
angles (deg): 89.96 90.20 119.84
Element x y z (fractional)
Na: 0.987 0.631 0.245
Na: 0.648 0.636 0.748
Na: 0.988 0.351 0.748
Na: 0.364 0.012 0.748
Na: 0.296 0.334 0.585
Na: 0.039 0.705 0.586
Na: 0.666 0.962 0.585
Na: 0.655 0.689 0.079
Na: 0.320 0.024 0.412
Na: 0.989 0.999 0.495
Na: 0.010 0.009 0.989
Na: 0.667 0.333 0.833
Na: 0.664 0.330 0.323
Na: 0.331 0.667 0.156
Na: 0.334 0.667 0.663
Mg: 0.994 0.000 0.352
Mg: 0.000 0.000 0.853
Mg: 0.000 0.000 0.651
Mg: 0.667 0.333 0.684
Mg: 0.661 0.327 0.185
Mg: 0.327 0.666 0.019
Mg: 0.334 0.667 0.516
Ta: 0.004 0.007 0.145
Ta: 0.666 0.330 0.979
Ta: 0.672 0.338 0.478
Ta: 0.338 0.665 0.312
Ta: 0.333 0.666 0.819
P: 0.294 0.006 0.254
P: 0.713 0.711 0.251
P: 0.997 0.288 0.253
P: 0.293 0.294 0.750
P: 0.001 0.707 0.750
P: 0.705 0.999 0.750
P: 0.961 0.335 0.585
P: 0.374 0.040 0.584
P: 0.665 0.626 0.585
P: 0.960 0.622 0.087
P: 0.663 0.042 0.086
P: 0.379 0.335 0.085
P: 0.630 0.670 0.921
P: 0.041 0.371 0.920
P: 0.329 0.959 0.920
P: 0.628 0.956 0.419
P: 0.330 0.373 0.420
P: 0.043 0.668 0.418
O: 0.211 0.020 0.311
O: 0.826 0.796 0.305
O: 0.978 0.183 0.307
O: 0.206 0.176 0.803
O: 0.971 0.794 0.803
O: 0.823 0.029 0.803
O: 0.769 0.954 0.691
O: 0.185 0.231 0.691
O: 0.045 0.815 0.691
O: 0.796 0.827 0.193
O: 0.028 0.200 0.195
O: 0.166 0.969 0.198
O: 0.880 0.364 0.640
O: 0.486 0.123 0.639
O: 0.637 0.516 0.641
O: 0.877 0.524 0.144
O: 0.644 0.127 0.140
O: 0.491 0.364 0.139
O: 0.467 0.303 0.028
O: 0.832 0.531 0.031
O: 0.694 0.160 0.028
O: 0.472 0.160 0.527
O: 0.688 0.524 0.529
O: 0.837 0.313 0.529
O: 0.543 0.687 0.976
O: 0.152 0.463 0.973
O: 0.314 0.850 0.973
O: 0.545 0.858 0.476
O: 0.311 0.454 0.476
O: 0.150 0.693 0.474
O: 0.133 0.638 0.361
O: 0.500 0.863 0.364
O: 0.359 0.496 0.364
O: 0.129 0.491 0.861
O: 0.361 0.871 0.861
O: 0.507 0.639 0.863
O: 0.022 0.826 0.410
O: 0.807 0.984 0.411
O: 0.182 0.189 0.411
O: 0.013 0.191 0.909
O: 0.178 0.987 0.910
O: 0.808 0.823 0.910
O: 0.970 0.166 0.584
O: 0.197 0.030 0.584
O: 0.833 0.804 0.584
O: 0.966 0.807 0.090
O: 0.838 0.028 0.090
O: 0.195 0.163 0.091
O: 0.675 0.156 0.745
O: 0.480 0.324 0.745
O: 0.845 0.520 0.745
O: 0.688 0.529 0.243
O: 0.851 0.329 0.244
O: 0.474 0.156 0.244
O: 0.638 0.495 0.923
O: 0.859 0.364 0.924
O: 0.505 0.142 0.923
O: 0.631 0.139 0.422
O: 0.503 0.360 0.423
O: 0.860 0.497 0.422
O: 0.355 0.492 0.076
O: 0.140 0.652 0.078
O: 0.518 0.855 0.077
O: 0.355 0.858 0.577
O: 0.504 0.645 0.577
O: 0.141 0.496 0.577
O: 0.299 0.825 0.257
O: 0.528 0.697 0.258
O: 0.171 0.477 0.257
O: 0.314 0.484 0.759
O: 0.169 0.686 0.759
O: 0.517 0.830 0.759


2.
Na2MgTaP3O12: optimized geometry, GGA-PBE.

Computed properties:
VASP energy: -7.28 eV per atom
ρ: 3.54 g cm⁻³
Spin magnetization: 0.00 μB per formula unit

a b c (Å): 8.848 8.800 22.315
angles (deg): 90.00 90.22 119.82
Element x y z (fractional)
Na: 0.989 0.633 0.247
Na: 0.989 0.355 0.747
Na: 0.655 0.967 0.580
Na: 0.655 0.689 0.080
Na: 0.322 0.300 0.913
Na: 0.322 0.022 0.413
Na: 0.997 0.001 0.492
Na: 0.997 0.996 0.992
Na: 0.664 0.334 0.825
Na: 0.664 0.330 0.325
Na: 0.330 0.667 0.158
Na: 0.330 0.663 0.658
Mg: 0.994 0.000 0.353
Mg: 0.994 0.994 0.853
Mg: 0.661 0.334 0.686
Mg: 0.661 0.327 0.186
Mg: 0.328 0.667 0.019
Mg: 0.328 0.661 0.519
Ta: 0.005 0.997 0.646
Ta: 0.005 0.007 0.146
Ta: 0.671 0.331 0.980
Ta: 0.671 0.340 0.480
Ta: 0.338 0.664 0.313
Ta: 0.338 0.674 0.813
P: 0.295 0.005 0.254
P: 0.711 0.711 0.251
P: 0.997 0.290 0.253
P: 0.295 0.290 0.754
P: 0.997 0.707 0.753
P: 0.711 0.001 0.751
P: 0.962 0.339 0.587
P: 0.378 0.044 0.584
P: 0.664 0.623 0.586
P: 0.962 0.623 0.087
P: 0.664 0.041 0.086
P: 0.378 0.334 0.084
P: 0.628 0.672 0.921
P: 0.045 0.377 0.917
P: 0.331 0.957 0.920
P: 0.628 0.956 0.421
P: 0.331 0.374 0.420
P: 0.045 0.667 0.417
O: 0.210 0.020 0.310
O: 0.827 0.798 0.304
O: 0.979 0.183 0.307
O: 0.210 0.190 0.810
O: 0.979 0.796 0.807
O: 0.827 0.029 0.804
O: 0.795 0.969 0.692
O: 0.166 0.196 0.698
O: 0.026 0.826 0.695
O: 0.795 0.827 0.192
O: 0.026 0.201 0.195
O: 0.166 0.970 0.198
O: 0.877 0.353 0.644
O: 0.494 0.131 0.637
O: 0.646 0.516 0.640
O: 0.877 0.524 0.144
O: 0.646 0.129 0.140
O: 0.494 0.362 0.137
O: 0.462 0.302 0.025
O: 0.833 0.529 0.031
O: 0.693 0.159 0.028
O: 0.462 0.160 0.525
O: 0.693 0.534 0.528
O: 0.833 0.304 0.531
O: 0.543 0.686 0.977
O: 0.160 0.465 0.970
O: 0.312 0.850 0.974
O: 0.543 0.857 0.477
O: 0.312 0.463 0.474
O: 0.160 0.696 0.470
O: 0.129 0.635 0.359
O: 0.500 0.863 0.365
O: 0.360 0.492 0.362
O: 0.129 0.494 0.859
O: 0.360 0.867 0.862
O: 0.500 0.637 0.865
O: 0.019 0.824 0.409
O: 0.808 0.984 0.411
O: 0.183 0.188 0.411
O: 0.019 0.195 0.909
O: 0.183 0.994 0.911
O: 0.808 0.824 0.911
O: 0.965 0.158 0.589
O: 0.194 0.033 0.590
O: 0.839 0.810 0.589
O: 0.965 0.807 0.089
O: 0.839 0.029 0.089
O: 0.194 0.161 0.090
O: 0.685 0.157 0.742
O: 0.475 0.318 0.744
O: 0.849 0.522 0.744
O: 0.685 0.528 0.242
O: 0.849 0.328 0.244
O: 0.475 0.157 0.244
O: 0.632 0.492 0.923
O: 0.861 0.366 0.924
O: 0.506 0.143 0.923
O: 0.632 0.140 0.423
O: 0.506 0.362 0.423
O: 0.861 0.495 0.424
O: 0.352 0.490 0.076
O: 0.141 0.651 0.077
O: 0.516 0.855 0.078
O: 0.352 0.862 0.576
O: 0.516 0.661 0.578
O: 0.141 0.490 0.577
O: 0.299 0.825 0.256
O: 0.527 0.699 0.257
O: 0.172 0.477 0.256
O: 0.299 0.474 0.756
O: 0.172 0.695 0.756
O: 0.527 0.828 0.757


3.
NaMgTa3P6O24: optimized geometry, GGA-PBE.

Computed properties:
VASP energy: -7.93 eV per atom
ρ: 3.84 g cm⁻³
Spin magnetization: 0.00 μB per formula unit
Symmetry: P3, No. 143

a b c (Å): 8.736 8.736 22.751
angles (deg): 90.00 90.00 120.00
Element x y z (fractional)
Na: 0.000 0.000 0.985
Na: 0.667 0.333 0.844
Na: 0.667 0.333 0.343
Mg: 0.000 0.000 0.855
Mg: 0.667 0.333 0.976
Mg: 0.667 0.333 0.480
Ta: 0.000 0.000 0.361
Ta: 0.000 0.000 0.647
Ta: 0.000 0.000 0.143
Ta: 0.667 0.333 0.688
Ta: 0.667 0.333 0.185
Ta: 0.333 0.667 0.018
Ta: 0.333 0.667 0.527
Ta: 0.333 0.667 0.311
Ta: 0.333 0.667 0.811
P: 0.286 0.003 0.251
P: 0.717 0.714 0.251
P: 0.997 0.283 0.251
P: 0.285 0.284 0.752
P: 0.999 0.715 0.752
P: 0.716 0.001 0.752
P: 0.947 0.328 0.581
P: 0.380 0.053 0.581
P: 0.672 0.620 0.581
P: 0.954 0.618 0.081
P: 0.664 0.046 0.081
P: 0.382 0.336 0.081
P: 0.626 0.667 0.916
P: 0.041 0.374 0.916
P: 0.333 0.959 0.916
P: 0.615 0.955 0.417
P: 0.340 0.385 0.417
P: 0.045 0.660 0.417
O: 0.199 0.032 0.305
O: 0.833 0.801 0.305
O: 0.968 0.167 0.305
O: 0.214 0.172 0.805
O: 0.958 0.786 0.805
O: 0.828 0.042 0.805
O: 0.802 0.975 0.696
O: 0.173 0.198 0.696
O: 0.025 0.827 0.696
O: 0.802 0.828 0.196
O: 0.026 0.198 0.196
O: 0.172 0.974 0.196
O: 0.866 0.363 0.637
O: 0.497 0.134 0.637
O: 0.637 0.503 0.637
O: 0.863 0.505 0.139
O: 0.642 0.137 0.139
O: 0.495 0.358 0.139
O: 0.455 0.291 0.029
O: 0.836 0.545 0.029
O: 0.709 0.164 0.029
O: 0.454 0.159 0.527
O: 0.705 0.546 0.527
O: 0.841 0.295 0.527
O: 0.524 0.684 0.972
O: 0.160 0.476 0.972
O: 0.316 0.840 0.972
O: 0.531 0.836 0.471
O: 0.305 0.469 0.471
O: 0.164 0.695 0.471
O: 0.143 0.646 0.361
O: 0.503 0.857 0.361
O: 0.354 0.497 0.361
O: 0.144 0.494 0.861
O: 0.350 0.856 0.861
O: 0.506 0.650 0.861
O: 0.036 0.834 0.406
O: 0.798 0.964 0.406
O: 0.166 0.202 0.406
O: 0.038 0.201 0.914
O: 0.163 0.962 0.914
O: 0.799 0.837 0.914
O: 0.980 0.174 0.596
O: 0.193 0.020 0.596
O: 0.826 0.807 0.596
O: 0.979 0.807 0.096
O: 0.828 0.021 0.096
O: 0.193 0.172 0.096
O: 0.687 0.162 0.738
O: 0.475 0.313 0.738
O: 0.838 0.525 0.738
O: 0.694 0.528 0.243
O: 0.833 0.306 0.243
O: 0.472 0.167 0.243
O: 0.629 0.497 0.920
O: 0.868 0.371 0.920
O: 0.503 0.132 0.920
O: 0.638 0.136 0.419
O: 0.498 0.362 0.419
O: 0.864 0.502 0.419
O: 0.358 0.497 0.077
O: 0.139 0.642 0.077
O: 0.503 0.861 0.077
O: 0.359 0.862 0.573
O: 0.504 0.641 0.573
O: 0.138 0.496 0.573
O: 0.306 0.839 0.260
O: 0.533 0.694 0.260
O: 0.161 0.467 0.260
O: 0.309 0.472 0.758
O: 0.162 0.691 0.758
O: 0.528 0.838 0.758


Which of these has the lowest ρ?
Na15Mg7Ta5P18O72


Which value of spin magnetization does entry 2 give?
0.00 μB per formula unit


Number 1 is which compound?
Na15Mg7Ta5P18O72